Density functional theory data (GGA-PBE) for SmOF after structural relaxation.

Its formation energy is -4.200 eV/atom. The value obtained for the total energy is -0.28215 Ha/atom.

a = 3.9273 Å, b = 3.9273 Å, c = 19.6168 Å
α = 90.00°, β = 90.00°, γ = 120.00°
With the nearest neighbours (Å) after each atom.
Space group R-3m (No. 166, hexagonal axes)
Unique sites:
Sm 0.0000 0.0000 0.2413 x6  4 O 2.34, 4 F 2.51-2.53
O 0.0000 0.0000 0.1220 x6  4 Sm 2.34
F 0.0000 0.0000 0.3702 x6  4 Sm 2.51-2.53, 3 F 2.69